An optimized crystal structure of Na6Y4Nb4Si7S5O48. Source: Materials Project, functional GGA-PBE.

## Properties
The calculated formation energy comes out at -2.826 eV per atom.

Lattice parameters (Å, degrees): 9.0929 15.8341 23.3562 89.72 89.82 89.97
Space group P1 (No. 1)
Inequivalent atoms, fractional coordinates:
Na (0.0000, 0.0000, 0.0000) (multiplicity 1)
Na (0.0095, 0.6636, 0.1669) (multiplicity 1)
Na (0.0123, 0.3291, 0.3411) (multiplicity 1)
Na (0.0319, 0.6698, 0.6815) (multiplicity 1)
Na (0.0433, 0.3211, 0.8336) (multiplicity 1)
Na (0.1457, 0.4964, 0.2584) (multiplicity 1)
Na (0.3765, 0.9969, 0.7672) (multiplicity 1)
Na (0.4807, 0.8236, 0.3312) (multiplicity 1)
Na (0.4942, 0.1697, 0.1721) (multiplicity 1)
Na (0.5133, 0.8305, 0.8439) (multiplicity 1)
Na (0.5146, 0.1644, 0.6737) (multiplicity 1)
Na (0.5237, 0.4934, 0.5020) (multiplicity 1)
Na (0.5383, 0.4992, 0.0075) (multiplicity 1)
Na (0.6264, 0.0002, 0.2558) (multiplicity 1)
Na (0.6653, 0.3278, 0.5840) (multiplicity 1)
Na (0.8626, 0.8291, 0.0808) (multiplicity 1)
Na (0.9006, 0.4997, 0.7602) (multiplicity 1)
Na (0.9884, 0.0010, 0.5105) (multiplicity 1)
Y (0.0085, 0.3229, 0.1900) (multiplicity 1)
Y (0.0186, 0.6712, 0.8213) (multiplicity 1)
Y (0.0235, 0.0039, 0.1472) (multiplicity 1)
Y (0.0227, 0.3331, 0.6937) (multiplicity 1)
Y (0.0326, 0.6641, 0.3223) (multiplicity 1)
Y (0.5005, 0.1658, 0.8254) (multiplicity 1)
Y (0.5026, 0.8330, 0.1924) (multiplicity 1)
Y (0.5050, 0.5026, 0.6492) (multiplicity 1)
Y (0.5093, 0.1706, 0.3201) (multiplicity 1)
Y (0.5174, 0.8239, 0.6927) (multiplicity 1)
Y (0.5308, 0.1641, 0.5157) (multiplicity 1)
Y (0.9959, 0.6616, 0.0153) (multiplicity 1)
Nb (0.0115, 0.9978, 0.6507) (multiplicity 1)
Nb (0.0144, 0.6656, 0.5231) (multiplicity 1)
Nb (0.0304, 0.9902, 0.3622) (multiplicity 1)
Nb (0.0330, 0.9995, 0.8644) (multiplicity 1)
Nb (0.4916, 0.4927, 0.3593) (multiplicity 1)
Nb (0.4962, 0.4892, 0.8625) (multiplicity 1)
Nb (0.5112, 0.4972, 0.1477) (multiplicity 1)
Nb (0.5267, 0.8398, 0.4833) (multiplicity 1)
Nb (0.5286, 0.1637, 0.0193) (multiplicity 1)
Nb (0.5298, 0.8332, 0.9888) (multiplicity 1)
Nb (0.9932, 0.3331, 0.9797) (multiplicity 1)
Nb (0.9988, 0.3324, 0.4883) (multiplicity 1)
Si (0.1544, 0.8565, 0.7548) (multiplicity 1)
Si (0.1563, 0.1403, 0.7546) (multiplicity 1)
Si (0.1558, 0.5135, 0.4225) (multiplicity 1)
Si (0.1709, 0.8092, 0.4239) (multiplicity 1)
Si (0.2161, 0.5003, 0.7558) (multiplicity 1)
Si (0.3107, 0.0003, 0.2553) (multiplicity 1)
Si (0.3557, 0.3085, 0.9251) (multiplicity 1)
Si (0.3677, 0.3533, 0.2520) (multiplicity 1)
Si (0.3741, 0.0133, 0.9233) (multiplicity 1)
Si (0.3758, 0.6402, 0.2541) (multiplicity 1)
Si (0.6580, 0.9828, 0.0910) (multiplicity 1)
Si (0.6590, 0.6846, 0.0910) (multiplicity 1)
Si (0.6642, 0.3195, 0.4223) (multiplicity 1)
Si (0.6704, 0.0162, 0.4150) (multiplicity 1)
Si (0.7157, 0.3288, 0.0886) (multiplicity 1)
Si (0.8093, 0.1628, 0.9181) (multiplicity 1)
Si (0.8109, 0.8303, 0.5886) (multiplicity 1)
Si (0.8572, 0.5150, 0.9147) (multiplicity 1)
Si (0.8646, 0.8172, 0.9223) (multiplicity 1)
Si (0.8666, 0.4818, 0.5896) (multiplicity 1)
Si (0.8692, 0.1840, 0.5907) (multiplicity 1)
S (0.1634, 0.4773, 0.0889) (multiplicity 1)
S (0.1668, 0.1888, 0.0824) (multiplicity 1)
S (0.2028, 0.1641, 0.4219) (multiplicity 1)
S (0.2172, 0.8276, 0.0847) (multiplicity 1)
S (0.3085, 0.3286, 0.5846) (multiplicity 1)
S (0.3248, 0.6644, 0.9221) (multiplicity 1)
S (0.3622, 0.6879, 0.5827) (multiplicity 1)
S (0.3640, 0.9758, 0.5874) (multiplicity 1)
S (0.6526, 0.3545, 0.7562) (multiplicity 1)
S (0.6546, 0.6399, 0.7587) (multiplicity 1)
S (0.7165, 0.6660, 0.4246) (multiplicity 1)
S (0.7316, 0.9989, 0.7536) (multiplicity 1)
S (0.7927, 0.4991, 0.2539) (multiplicity 1)
S (0.8733, 0.8552, 0.2570) (multiplicity 1)
S (0.8742, 0.1394, 0.2594) (multiplicity 1)
O (0.0809, 0.2315, 0.7543) (multiplicity 1)
O (0.0812, 0.7648, 0.7538) (multiplicity 1)
O (0.0859, 0.5424, 0.3619) (multiplicity 1)
O (0.0858, 0.7612, 0.4766) (multiplicity 1)
O (0.0923, 0.9090, 0.6964) (multiplicity 1)
O (0.0949, 0.1042, 0.0824) (multiplicity 1)
O (0.0991, 0.9059, 0.4149) (multiplicity 1)
O (0.0995, 0.0813, 0.6978) (multiplicity 1)
O (0.1012, 0.0866, 0.8121) (multiplicity 1)
O (0.1024, 0.0881, 0.4144) (multiplicity 1)
O (0.1033, 0.2387, 0.0355) (multiplicity 1)
O (0.1043, 0.4177, 0.4398) (multiplicity 1)
O (0.1061, 0.2390, 0.4286) (multiplicity 1)
O (0.1067, 0.5645, 0.0841) (multiplicity 1)
O (0.1087, 0.4393, 0.1434) (multiplicity 1)
O (0.1112, 0.9145, 0.8115) (multiplicity 1)
O (0.1117, 0.5831, 0.7561) (multiplicity 1)
O (0.1136, 0.5837, 0.4726) (multiplicity 1)
O (0.1161, 0.4156, 0.7623) (multiplicity 1)
O (0.1197, 0.9041, 0.0847) (multiplicity 1)
O (0.1215, 0.7517, 0.0822) (multiplicity 1)
O (0.1269, 0.4254, 0.0390) (multiplicity 1)
O (0.1402, 0.2314, 0.1382) (multiplicity 1)
O (0.1561, 0.7571, 0.3658) (multiplicity 1)
O (0.1853, 0.3298, 0.9423) (multiplicity 1)
O (0.1887, 0.3559, 0.2535) (multiplicity 1)
O (0.1912, 0.0062, 0.9190) (multiplicity 1)
O (0.1937, 0.9977, 0.3133) (multiplicity 1)
O (0.1948, 0.6375, 0.2537) (multiplicity 1)
O (0.1980, 0.6774, 0.5769) (multiplicity 1)
O (0.1990, 0.9783, 0.5889) (multiplicity 1)
O (0.2063, 0.0015, 0.1997) (multiplicity 1)
O (0.2114, 0.3340, 0.5337) (multiplicity 1)
O (0.2248, 0.3245, 0.6381) (multiplicity 1)
O (0.2352, 0.6473, 0.9733) (multiplicity 1)
O (0.2356, 0.6773, 0.8704) (multiplicity 1)
O (0.2917, 0.1467, 0.4732) (multiplicity 1)
O (0.2923, 0.1770, 0.3703) (multiplicity 1)
O (0.3005, 0.8231, 0.1386) (multiplicity 1)
O (0.3154, 0.8332, 0.0343) (multiplicity 1)
O (0.3182, 0.5024, 0.6991) (multiplicity 1)
O (0.3283, 0.1780, 0.0769) (multiplicity 1)
O (0.3308, 0.4823, 0.0916) (multiplicity 1)
O (0.3338, 0.4980, 0.8129) (multiplicity 1)
O (0.3348, 0.8571, 0.7524) (multiplicity 1)
O (0.3358, 0.1374, 0.7513) (multiplicity 1)
O (0.3402, 0.5080, 0.4170) (multiplicity 1)
O (0.3444, 0.8257, 0.4400) (multiplicity 1)
O (0.3646, 0.2585, 0.8659) (multiplicity 1)
O (0.3849, 0.7316, 0.6373) (multiplicity 1)
O (0.4043, 0.2525, 0.5818) (multiplicity 1)
O (0.4053, 0.9225, 0.5361) (multiplicity 1)
O (0.4066, 0.4050, 0.5840) (multiplicity 1)
O (0.4102, 0.9156, 0.2621) (multiplicity 1)
O (0.4115, 0.4105, 0.3119) (multiplicity 1)
O (0.4142, 0.0819, 0.9735) (multiplicity 1)
O (0.4150, 0.0830, 0.2560) (multiplicity 1)
O (0.4218, 0.7389, 0.9287) (multiplicity 1)
O (0.4219, 0.9361, 0.6400) (multiplicity 1)
O (0.4229, 0.0613, 0.5807) (multiplicity 1)
O (0.4230, 0.7369, 0.5341) (multiplicity 1)
O (0.4243, 0.5879, 0.9144) (multiplicity 1)
O (0.4262, 0.5811, 0.1982) (multiplicity 1)
O (0.4269, 0.9169, 0.9404) (multiplicity 1)
O (0.4301, 0.4058, 0.9150) (multiplicity 1)
O (0.4305, 0.6032, 0.5823) (multiplicity 1)
O (0.4318, 0.4095, 0.1971) (multiplicity 1)
O (0.4327, 0.5861, 0.3121) (multiplicity 1)
O (0.4421, 0.0405, 0.8619) (multiplicity 1)
O (0.4444, 0.2609, 0.9765) (multiplicity 1)
O (0.4445, 0.2632, 0.2532) (multiplicity 1)
O (0.4484, 0.7317, 0.2558) (multiplicity 1)
O (0.5806, 0.5897, 0.0968) (multiplicity 1)
O (0.5824, 0.7246, 0.7593) (multiplicity 1)
O (0.5842, 0.0749, 0.0754) (multiplicity 1)
O (0.5894, 0.2692, 0.7587) (multiplicity 1)
O (0.5887, 0.7336, 0.0331) (multiplicity 1)
O (0.5903, 0.2883, 0.4819) (multiplicity 1)
O (0.5910, 0.0486, 0.3583) (multiplicity 1)
O (0.5992, 0.5912, 0.8085) (multiplicity 1)
O (0.5994, 0.9483, 0.1519) (multiplicity 1)
O (0.5995, 0.9183, 0.4317) (multiplicity 1)
O (0.6021, 0.4059, 0.8068) (multiplicity 1)
O (0.6050, 0.3953, 0.7020) (multiplicity 1)
O (0.6049, 0.4177, 0.4090) (multiplicity 1)
O (0.6074, 0.9122, 0.0397) (multiplicity 1)
O (0.6088, 0.2484, 0.0745) (multiplicity 1)
O (0.6161, 0.4166, 0.0958) (multiplicity 1)
O (0.6167, 0.7412, 0.4352) (multiplicity 1)
O (0.6207, 0.5960, 0.7042) (multiplicity 1)
O (0.6230, 0.5905, 0.4202) (multiplicity 1)
O (0.6330, 0.7461, 0.1443) (multiplicity 1)
O (0.6329, 0.9232, 0.7501) (multiplicity 1)
O (0.6368, 0.0756, 0.7526) (multiplicity 1)
O (0.6407, 0.2586, 0.3689) (multiplicity 1)
O (0.6501, 0.0695, 0.4725) (multiplicity 1)
O (0.6791, 0.4979, 0.9045) (multiplicity 1)
O (0.6821, 0.8305, 0.9331) (multiplicity 1)
O (0.6884, 0.4811, 0.5835) (multiplicity 1)
O (0.6912, 0.1751, 0.5833) (multiplicity 1)
O (0.6915, 0.8413, 0.5337) (multiplicity 1)
O (0.6994, 0.4925, 0.3058) (multiplicity 1)
O (0.7012, 0.1508, 0.9751) (multiplicity 1)
O (0.7047, 0.5028, 0.2002) (multiplicity 1)
O (0.7103, 0.8556, 0.2602) (multiplicity 1)
O (0.7129, 0.1476, 0.2619) (multiplicity 1)
O (0.7143, 0.8104, 0.6443) (multiplicity 1)
O (0.7147, 0.1862, 0.8632) (multiplicity 1)
O (0.8015, 0.6835, 0.3721) (multiplicity 1)
O (0.8093, 0.3122, 0.1458) (multiplicity 1)
O (0.8156, 0.3543, 0.7591) (multiplicity 1)
O (0.8160, 0.6480, 0.7602) (multiplicity 1)
O (0.8155, 0.6557, 0.4748) (multiplicity 1)
O (0.8211, 0.0018, 0.6985) (multiplicity 1)
O (0.8229, 0.9924, 0.8042) (multiplicity 1)
O (0.8334, 0.3428, 0.0344) (multiplicity 1)
O (0.8369, 0.6748, 0.0843) (multiplicity 1)
O (0.8369, 0.9809, 0.0851) (multiplicity 1)
O (0.8467, 0.3307, 0.4323) (multiplicity 1)
O (0.8474, 0.9973, 0.4059) (multiplicity 1)
O (0.8725, 0.5702, 0.9718) (multiplicity 1)
O (0.8814, 0.7550, 0.8692) (multiplicity 1)
O (0.8862, 0.5765, 0.2558) (multiplicity 1)
O (0.8927, 0.4240, 0.2521) (multiplicity 1)
O (0.8938, 0.2479, 0.6428) (multiplicity 1)
O (0.9067, 0.0948, 0.2052) (multiplicity 1)
O (0.9111, 0.9162, 0.5939) (multiplicity 1)
O (0.9148, 0.0803, 0.9124) (multiplicity 1)
O (0.9147, 0.7484, 0.5712) (multiplicity 1)
O (0.9194, 0.2427, 0.9363) (multiplicity 1)
O (0.9190, 0.4122, 0.5383) (multiplicity 1)
O (0.9244, 0.9066, 0.3079) (multiplicity 1)
O (0.9253, 0.4183, 0.9301) (multiplicity 1)
O (0.9248, 0.8937, 0.2032) (multiplicity 1)
O (0.9295, 0.0909, 0.3094) (multiplicity 1)
O (0.9297, 0.4511, 0.6502) (multiplicity 1)
O (0.9295, 0.9123, 0.9087) (multiplicity 1)
O (0.9327, 0.7686, 0.2620) (multiplicity 1)
O (0.9353, 0.5496, 0.8580) (multiplicity 1)
O (0.9353, 0.7847, 0.9821) (multiplicity 1)
O (0.9372, 0.5748, 0.5704) (multiplicity 1)
O (0.9388, 0.2341, 0.5321) (multiplicity 1)
O (0.9461, 0.2242, 0.2599) (multiplicity 1)
O (0.9483, 0.0896, 0.5956) (multiplicity 1)